[1]
{"formula": "FeS4N4Cl5", "functional": "PBE-GGA", "state": "optimized geometry", "cell": [[-4.593, -4.650, -3.407], [5.121, -7.952, 0.307], [-3.447, -4.719, 8.604]], "species": ["N", "N", "N", "Fe", "S", "Cl", "S", "N", "Fe", "N", "S", "Cl", "S", "S", "Cl", "N", "Cl", "N", "Cl", "S", "Cl", "S", "Cl", "Cl", "S", "Cl", "Cl", "N"], "fractional_positions": [[0.433, 0.086, 0.649], [0.822, 0.611, 0.188], [0.178, 0.389, 0.812], [0.049, 0.810, 0.783], [0.470, 0.040, 0.798], [0.560, 0.416, 0.693], [0.378, 0.335, 0.866], [0.565, 0.839, 0.114], [0.951, 0.190, 0.217], [0.435, 0.161, 0.886], [0.668, 0.801, 0.469], [0.757, 0.303, 0.065], [0.530, 0.960, 0.202], [0.332, 0.199, 0.531], [0.816, 0.203, 0.415], [0.177, 0.324, 0.572], [0.798, 0.707, 0.808], [0.567, 0.914, 0.351], [0.034, 0.958, 0.199], [0.923, 0.602, 0.316], [0.440, 0.584, 0.307], [0.077, 0.398, 0.684], [0.243, 0.697, 0.935], [0.202, 0.293, 0.192], [0.622, 0.665, 0.134], [0.184, 0.797, 0.585], [0.966, 0.042, 0.801], [0.823, 0.676, 0.428]], "formation_enthalpy_0k_ev_per_atom": -0.21, "energy_corrected_mp2020_ev_per_atom": -5.035}

***

[2]
{"formula": "FeS4N4Cl3", "functional": "PBE-GGA", "state": "optimized geometry", "cell": [[-3.300, -2.877, 12.889], [-3.560, -5.186, -2.069], [9.340, -9.379, 0.298]], "species": ["Fe", "S", "N", "S", "N", "S", "Fe", "N", "N", "Cl", "S", "S", "N", "N", "Fe", "S", "N", "Cl", "N", "S", "S", "N", "N", "S", "N", "N", "S", "N", "Cl", "Cl", "S", "S", "S", "Cl", "Cl", "N", "Fe", "Cl", "N", "S", "Cl", "S", "N", "Cl", "Cl", "Cl", "S", "Cl"], "fractional_positions": [[0.489, 0.777, 0.689], [0.204, 0.670, 0.807], [0.291, 0.862, 0.219], [0.716, 0.961, 0.327], [0.896, 0.009, 0.775], [0.590, 0.878, 0.178], [0.011, 0.777, 0.189], [0.791, 0.138, 0.281], [0.787, 0.364, 0.607], [0.109, 0.097, 0.914], [0.284, 0.039, 0.673], [0.784, 0.961, 0.827], [0.118, 0.982, 0.429], [0.713, 0.364, 0.107], [0.989, 0.223, 0.811], [0.837, 0.234, 0.530], [0.213, 0.636, 0.393], [0.609, 0.903, 0.586], [0.709, 0.138, 0.781], [0.704, 0.330, 0.693], [0.216, 0.039, 0.173], [0.618, 0.018, 0.071], [0.604, 0.009, 0.275], [0.410, 0.122, 0.822], [0.209, 0.862, 0.719], [0.287, 0.636, 0.893], [0.163, 0.766, 0.470], [0.382, 0.982, 0.929], [0.400, 0.562, 0.620], [0.600, 0.438, 0.380], [0.910, 0.878, 0.678], [0.090, 0.122, 0.322], [0.796, 0.330, 0.193], [0.891, 0.903, 0.086], [0.551, 0.637, 0.838], [0.104, 0.991, 0.225], [0.511, 0.223, 0.311], [0.391, 0.097, 0.414], [0.882, 0.018, 0.571], [0.296, 0.670, 0.307], [0.949, 0.637, 0.338], [0.337, 0.766, 0.970], [0.396, 0.991, 0.725], [0.449, 0.363, 0.162], [0.900, 0.438, 0.880], [0.100, 0.562, 0.120], [0.663, 0.234, 0.030], [0.051, 0.363, 0.662]], "formation_enthalpy_0k_ev_per_atom": -0.07, "energy_corrected_mp2020_ev_per_atom": -5.393}

***

[3]
{"formula": "FeS4N4Cl3", "functional": "PBE-GGA", "state": "optimized geometry", "cell": [[-7.597, 6.015, -6.732], [2.911, -2.840, -5.823], [-8.777, -11.535, -0.401]], "species": ["Cl", "N", "S", "S", "S", "N", "Cl", "S", "Cl", "S", "N", "Cl", "S", "S", "Cl", "N", "N", "S", "Cl", "N", "N", "S", "N", "S", "N", "N", "Fe", "N", "S", "S", "S", "Cl", "Fe", "Cl", "Fe", "Fe", "Cl", "N", "N", "S", "N", "S", "N", "N", "S", "Cl", "Cl", "Cl"], "fractional_positions": [[0.936, 0.283, 0.808], [0.360, 0.408, 0.486], [0.308, 0.501, 0.391], [0.354, 0.266, 0.824], [0.201, 0.962, 0.472], [0.825, 0.973, 0.001], [0.564, 0.283, 0.308], [0.146, 0.266, 0.324], [0.137, 0.930, 0.736], [0.192, 0.501, 0.891], [0.218, 0.336, 0.818], [0.901, 0.621, 0.401], [0.646, 0.734, 0.176], [0.119, 0.208, 0.037], [0.099, 0.379, 0.599], [0.640, 0.592, 0.514], [0.868, 0.914, 0.603], [0.881, 0.792, 0.963], [0.363, 0.930, 0.236], [0.282, 0.336, 0.318], [0.860, 0.592, 0.014], [0.299, 0.962, 0.972], [0.782, 0.664, 0.182], [0.701, 0.038, 0.028], [0.132, 0.086, 0.397], [0.675, 0.973, 0.501], [0.404, 0.231, 0.239], [0.718, 0.664, 0.682], [0.619, 0.792, 0.463], [0.692, 0.499, 0.609], [0.808, 0.499, 0.109], [0.436, 0.717, 0.692], [0.904, 0.769, 0.261], [0.064, 0.717, 0.192], [0.096, 0.231, 0.739], [0.596, 0.769, 0.761], [0.863, 0.070, 0.264], [0.632, 0.914, 0.103], [0.175, 0.027, 0.999], [0.799, 0.038, 0.528], [0.140, 0.408, 0.986], [0.854, 0.734, 0.676], [0.325, 0.027, 0.499], [0.368, 0.086, 0.897], [0.381, 0.208, 0.537], [0.599, 0.621, 0.901], [0.401, 0.379, 0.099], [0.637, 0.070, 0.764]], "formation_enthalpy_0k_ev_per_atom": -0.07, "energy_corrected_mp2020_ev_per_atom": -5.394}

***

[4]
{"formula": "FeTeS2N2Cl5", "functional": "PBE-GGA", "state": "optimized geometry", "cell": [[-9.343, -1.666, -8.239], [-4.237, -3.255, 5.463], [-5.670, 10.675, 4.271]], "species": ["Cl", "S", "S", "N", "Te", "N", "S", "S", "Cl", "Fe", "Cl", "Te", "Cl", "Cl", "Cl", "Fe", "Cl", "N", "N", "Cl", "Cl", "N", "Cl", "N", "Cl", "Cl", "S", "Fe", "Cl", "Te", "S", "Cl", "Cl", "S", "N", "Fe", "S", "Cl", "Cl", "Cl", "Cl", "N", "Te", "Cl"], "fractional_positions": [[0.527, 0.242, 0.931], [0.692, 0.291, 0.411], [0.808, 0.291, 0.911], [0.809, 0.163, 0.825], [0.062, 0.861, 0.260], [0.085, 0.605, 0.083], [0.515, 0.627, 0.661], [0.985, 0.627, 0.161], [0.797, 0.473, 0.622], [0.643, 0.727, 0.038], [0.002, 0.877, 0.845], [0.938, 0.139, 0.740], [0.167, 0.264, 0.635], [0.333, 0.264, 0.135], [0.833, 0.736, 0.365], [0.857, 0.727, 0.538], [0.297, 0.527, 0.878], [0.691, 0.163, 0.325], [0.585, 0.395, 0.417], [0.703, 0.473, 0.122], [0.498, 0.877, 0.345], [0.915, 0.395, 0.917], [0.268, 0.058, 0.899], [0.191, 0.837, 0.175], [0.768, 0.942, 0.601], [0.473, 0.758, 0.069], [0.192, 0.709, 0.089], [0.143, 0.273, 0.462], [0.232, 0.058, 0.399], [0.438, 0.861, 0.760], [0.015, 0.373, 0.839], [0.998, 0.123, 0.155], [0.502, 0.123, 0.655], [0.308, 0.709, 0.589], [0.309, 0.837, 0.675], [0.357, 0.273, 0.962], [0.485, 0.373, 0.339], [0.203, 0.527, 0.378], [0.732, 0.942, 0.101], [0.973, 0.242, 0.431], [0.027, 0.758, 0.569], [0.415, 0.605, 0.583], [0.562, 0.139, 0.240], [0.667, 0.736, 0.865]], "formation_enthalpy_0k_ev_per_atom": -0.53, "energy_corrected_mp2020_ev_per_atom": -4.689}

***

[5]
{"formula": "FeSe2NCl6", "functional": "PBE-GGA", "state": "optimized geometry", "cell": [[-10.499, -3.346, 4.289], [-3.277, -1.887, -9.494], [1.837, -10.204, -3.465]], "species": ["Cl", "Cl", "Fe", "N", "Cl", "Cl", "Fe", "N", "Cl", "Se", "Cl", "Cl", "Cl", "Se", "Cl", "Cl", "Se", "Cl", "Se", "Cl", "Cl", "Fe", "Fe", "Cl", "Cl", "Cl", "Cl", "Cl", "Cl", "Cl", "Cl", "Cl", "Se", "N", "Cl", "Se", "Cl", "Se", "Se", "N"], "fractional_positions": [[0.634, 0.133, 0.579], [0.595, 0.648, 0.353], [0.307, 0.327, 0.488], [0.829, 0.287, 0.370], [0.417, 0.334, 0.323], [0.212, 0.122, 0.566], [0.693, 0.673, 0.512], [0.329, 0.713, 0.130], [0.095, 0.352, 0.147], [0.317, 0.712, 0.623], [0.905, 0.648, 0.853], [0.083, 0.334, 0.823], [0.712, 0.878, 0.934], [0.455, 0.773, 0.048], [0.788, 0.878, 0.434], [0.821, 0.495, 0.587], [0.955, 0.227, 0.452], [0.922, 0.076, 0.660], [0.545, 0.227, 0.952], [0.405, 0.352, 0.647], [0.917, 0.666, 0.177], [0.193, 0.327, 0.988], [0.807, 0.673, 0.012], [0.679, 0.495, 0.087], [0.078, 0.924, 0.340], [0.583, 0.666, 0.677], [0.288, 0.122, 0.066], [0.321, 0.505, 0.913], [0.866, 0.133, 0.079], [0.578, 0.076, 0.160], [0.366, 0.867, 0.421], [0.179, 0.505, 0.413], [0.817, 0.288, 0.877], [0.671, 0.287, 0.870], [0.422, 0.924, 0.840], [0.683, 0.288, 0.377], [0.134, 0.867, 0.921], [0.183, 0.712, 0.123], [0.045, 0.773, 0.548], [0.171, 0.713, 0.630]], "formation_enthalpy_0k_ev_per_atom": -0.51, "energy_corrected_mp2020_ev_per_atom": -3.994}

***

[6]
{"formula": "Na6FeCl8", "functional": "PBE-GGA", "state": "optimized geometry", "cell": [[6.538, -4.582, 0.586], [0.310, -7.037, -3.802], [4.820, -0.924, -6.324]], "species": ["Na", "Cl", "Na", "Cl", "Cl", "Na", "Cl", "Na", "Cl", "Cl", "Cl", "Fe", "Na", "Na", "Cl"], "fractional_positions": [[0.000, 0.500, 0.500], [0.223, 0.777, 0.777], [0.500, 0.000, 0.500], [0.223, 0.777, 0.223], [0.750, 0.750, 0.750], [0.500, 0.500, 0.000], [0.777, 0.777, 0.223], [0.000, 0.000, 0.500], [0.250, 0.250, 0.250], [0.777, 0.223, 0.223], [0.223, 0.223, 0.777], [0.000, 0.000, 0.000], [0.000, 0.500, 0.000], [0.500, 0.000, 0.000], [0.777, 0.223, 0.777]], "formation_enthalpy_0k_ev_per_atom": -1.90, "energy_corrected_mp2020_ev_per_atom": -3.979}

***

[7]
{"formula": "NaFeCl4", "functional": "PBE-GGA", "state": "optimized geometry", "cell": [[-1.529, 6.136, -0.390], [-3.479, -0.268, 9.431], [9.573, 2.615, 3.605]], "species": ["Cl", "Cl", "Cl", "Cl", "Cl", "Fe", "Na", "Cl", "Cl", "Fe", "Cl", "Fe", "Na", "Cl", "Cl", "Cl", "Na", "Cl", "Cl", "Cl", "Cl", "Na", "Cl", "Fe"], "fractional_positions": [[0.176, 0.236, 0.095], [0.673, 0.078, 0.622], [0.853, 0.564, 0.103], [0.192, 0.259, 0.716], [0.824, 0.736, 0.405], [0.958, 0.740, 0.211], [0.439, 0.465, 0.133], [0.173, 0.422, 0.378], [0.647, 0.436, 0.603], [0.042, 0.240, 0.289], [0.324, 0.764, 0.595], [0.542, 0.260, 0.711], [0.561, 0.965, 0.367], [0.692, 0.241, 0.284], [0.308, 0.741, 0.216], [0.327, 0.578, 0.878], [0.061, 0.535, 0.633], [0.676, 0.264, 0.905], [0.808, 0.759, 0.784], [0.147, 0.064, 0.397], [0.353, 0.936, 0.897], [0.939, 0.035, 0.867], [0.827, 0.922, 0.122], [0.458, 0.760, 0.789]], "formation_enthalpy_0k_ev_per_atom": -1.53, "energy_corrected_mp2020_ev_per_atom": -4.398}

***

[8]
{"formula": "Na2FeCl4", "functional": "PBE-GGA", "state": "optimized geometry", "cell": [[-0.746, -1.794, -3.349], [6.722, 0.138, -1.571], [1.459, -10.530, 5.318]], "species": ["Cl", "Cl", "Na", "Cl", "Fe", "Fe", "Na", "Cl", "Cl", "Cl", "Cl", "Cl", "Na", "Na"], "fractional_positions": [[0.000, 0.632, 0.690], [0.500, 0.727, 0.450], [0.500, 0.426, 0.819], [0.000, 0.132, 0.810], [0.000, 0.500, 0.500], [0.000, 0.000, 0.000], [0.500, 0.574, 0.181], [0.000, 0.368, 0.310], [0.000, 0.868, 0.190], [0.500, 0.273, 0.550], [0.500, 0.773, 0.950], [0.500, 0.227, 0.050], [0.500, 0.074, 0.319], [0.500, 0.926, 0.681]], "formation_enthalpy_0k_ev_per_atom": -1.66, "energy_corrected_mp2020_ev_per_atom": -4.307}

***

[9]
{"formula": "RbFeCl4", "functional": "PBE-GGA", "state": "optimized geometry", "cell": [[7.279, 0.000, 0.000], [0.000, 9.532, 0.000], [0.000, 0.000, 11.547]], "species": ["Rb", "Rb", "Cl", "Cl", "Cl", "Cl", "Cl", "Fe", "Fe", "Cl", "Cl", "Cl", "Cl", "Cl", "Rb", "Rb", "Fe", "Fe", "Cl", "Cl", "Cl", "Cl", "Cl", "Cl"], "fractional_positions": [[0.750, 0.662, 0.820], [0.750, 0.838, 0.320], [0.996, 0.325, 0.919], [0.504, 0.325, 0.919], [0.004, 0.675, 0.081], [0.004, 0.825, 0.581], [0.250, 0.955, 0.217], [0.250, 0.811, 0.068], [0.250, 0.689, 0.568], [0.250, 0.576, 0.402], [0.750, 0.424, 0.598], [0.496, 0.825, 0.581], [0.750, 0.045, 0.783], [0.250, 0.924, 0.902], [0.250, 0.162, 0.680], [0.250, 0.338, 0.180], [0.750, 0.189, 0.932], [0.750, 0.311, 0.432], [0.750, 0.076, 0.098], [0.496, 0.675, 0.081], [0.996, 0.175, 0.419], [0.750, 0.455, 0.283], [0.504, 0.175, 0.419], [0.250, 0.545, 0.717]], "formation_enthalpy_0k_ev_per_atom": -1.65, "energy_corrected_mp2020_ev_per_atom": -4.457}

***

[10]
{"formula": "Rb4FeSbCl12", "functional": "PBE-GGA", "state": "optimized geometry", "cell": [[7.173, 0.000, 0.000], [0.000, 7.173, 0.000], [0.000, 0.000, 10.208]], "species": ["Cl", "Fe", "Cl", "Cl", "Rb", "Cl", "Cl", "Cl", "Cl", "Sb", "Cl", "Rb", "Cl", "Cl", "Rb", "Rb", "Cl", "Cl"], "fractional_positions": [[0.252, 0.748, 0.500], [0.000, 0.000, 0.000], [0.000, 0.000, 0.222], [0.776, 0.776, 0.000], [0.000, 0.500, 0.241], [0.252, 0.252, 0.500], [0.224, 0.224, 0.000], [0.500, 0.500, 0.253], [0.776, 0.224, 0.000], [0.500, 0.500, 0.500], [0.748, 0.252, 0.500], [0.500, 0.000, 0.759], [0.500, 0.500, 0.747], [0.224, 0.776, 0.000], [0.500, 0.000, 0.241], [0.000, 0.500, 0.759], [0.000, 0.000, 0.778], [0.748, 0.748, 0.500]], "formation_enthalpy_0k_ev_per_atom": -1.70, "energy_corrected_mp2020_ev_per_atom": -3.849}

***

[11]
{"formula": "FeSeCl7", "functional": "PBE-GGA", "state": "optimized geometry", "cell": [[-5.728, 2.546, -2.105], [-0.263, -4.307, -7.359], [-7.115, -6.775, 3.290]], "species": ["Cl", "Cl", "Cl", "Cl", "Se", "Cl", "Cl", "Cl", "Cl", "Se", "Cl", "Fe", "Cl", "Cl", "Cl", "Cl", "Cl", "Fe"], "fractional_positions": [[0.425, 0.040, 0.952], [0.171, 0.466, 0.889], [0.823, 0.191, 0.078], [0.703, 0.366, 0.692], [0.184, 0.948, 0.542], [0.471, 0.928, 0.283], [0.080, 0.629, 0.515], [0.939, 0.047, 0.442], [0.689, 0.614, 0.013], [0.960, 0.505, 0.084], [0.693, 0.500, 0.359], [0.752, 0.566, 0.549], [0.320, 0.166, 0.561], [0.278, 0.332, 0.205], [0.078, 0.723, 0.122], [0.992, 0.934, 0.746], [0.533, 0.768, 0.636], [0.494, 0.126, 0.126]], "formation_enthalpy_0k_ev_per_atom": -1.01, "energy_corrected_mp2020_ev_per_atom": -3.775, "e_ij_max_c_m2": 0.42}

***

[12]
{"formula": "FeTeCl7", "functional": "PBE-GGA", "state": "optimized geometry", "cell": [[-3.897, -5.060, 2.304], [6.024, -6.219, -0.462], [1.991, -0.049, 10.137]], "species": ["Cl", "Te", "Cl", "Cl", "Cl", "Cl", "Cl", "Cl", "Fe", "Cl", "Cl", "Cl", "Cl", "Cl", "Cl", "Cl", "Te", "Fe"], "fractional_positions": [[0.542, 0.753, 0.657], [0.200, 0.923, 0.543], [0.291, 0.329, 0.208], [0.411, 0.048, 0.953], [0.064, 0.728, 0.131], [0.941, 0.034, 0.437], [0.481, 0.925, 0.279], [0.670, 0.504, 0.374], [0.496, 0.124, 0.124], [0.673, 0.614, 0.010], [0.994, 0.919, 0.758], [0.164, 0.463, 0.887], [0.071, 0.607, 0.522], [0.711, 0.352, 0.701], [0.818, 0.183, 0.070], [0.323, 0.157, 0.569], [0.948, 0.493, 0.096], [0.748, 0.554, 0.564]], "formation_enthalpy_0k_ev_per_atom": -1.16, "energy_corrected_mp2020_ev_per_atom": -3.885, "e_ij_max_c_m2": 0.11}